Record 1
Below is Tb5Ir3 after structural relaxation, with properties calculated at the PBE level.

The structure belongs to space group P6_3/mcm (No. 193); the cell edges are 8.3469, 8.3469 and 6.2812 Å and the angles 90.00°, 90.00° and 120.00°. Symmetry generates all atoms from Tb at (0.0000, 0.2607, 0.2500), Tb at (0.3333, 0.6667, 0.0000) and Ir at (0.0000, 0.3894, 0.7500).

The total DFT energy (no corrections) is -111.4 eV for the cell shown. The value obtained for the density is 12.0 g/cm³. As for the formation energy: -0.750 eV per atom. For the excess energy over the best structure of this formula in the dataset, the calculation gives 39 meV/atom.

Record 2
Below is TbYIr2 after structural relaxation, with properties calculated at the PBE level.

The structure belongs to space group Fm-3m (No. 225); the cell edges are 6.883, 6.883 and 6.883 Å and the angles 90.00°, 90.00° and 90.00°. Symmetry generates all atoms from Tb at (0.000, 0.000, 0.000), Y at (0.000, 0.000, 0.500) and Ir at (0.250, 0.250, 0.250).

The total DFT energy (no corrections) is -127.9 eV for the cell shown. The value obtained for the density is 12.9 g/cm³. As for the formation energy: -0.801 eV per atom.

Record 3
Below is Tb2ZnIr after structural relaxation, with properties calculated at the PBE level.

The structure belongs to space group Fm-3m (No. 225); the cell edges are 6.998, 6.998 and 6.998 Å and the angles 90.00°, 90.00° and 90.00°. Symmetry generates all atoms from Tb at (0.250, 0.250, 0.250), Zn at (0.000, 0.000, 0.000) and Ir at (0.000, 0.000, 0.500).

The total DFT energy (no corrections) is -87.4 eV for the cell shown. For the size of the total moment, the calculation gives 0.0 μB/f.u. The value obtained for the density is 11.2 g/cm³. As for the formation energy: -0.620 eV per atom.

Record 4
Below is Tc3Ir after structural relaxation, with properties calculated at the PBE level.

The structure belongs to space group P6_3/mmc (No. 194); the cell edges are 5.5396, 5.5396 and 4.3635 Å and the angles 90.00°, 90.00° and 120.00°. Symmetry generates all atoms from Tc at (0.1618, 0.3236, 0.2500) and Ir at (0.3333, 0.6667, 0.7500).

The total DFT energy (no corrections) is -81.7 eV for the cell shown. The value obtained for the density is 13.9 g/cm³. As for the formation energy: -0.228 eV per atom.

Record 5
Below is TlTcIr2 after structural relaxation, with properties calculated at the PBE level.

The structure belongs to space group Fm-3m (No. 225); the cell edges are 6.475, 6.475 and 6.475 Å and the angles 90.00°, 90.00° and 90.00°. Symmetry generates all atoms from Tl at (0.000, 0.000, 0.000), Tc at (0.000, 0.000, 0.500) and Ir at (0.250, 0.250, 0.250).

The total DFT energy (no corrections) is -111.4 eV for the cell shown. For the size of the total moment, the calculation gives 3.9 μB/f.u. The value obtained for the density is 16.8 g/cm³. As for the formation energy: 0.638 eV per atom.

Record 6
Below is Zr2TcIr after structural relaxation, with properties calculated at the PBE level.

The structure belongs to space group Fm-3m (No. 225); the cell edges are 6.601, 6.601 and 6.601 Å and the angles 90.00°, 90.00° and 90.00°. Symmetry generates all atoms from Zr at (0.250, 0.250, 0.250), Tc at (0.000, 0.000, 0.000) and Ir at (0.000, 0.000, 0.500).

The total DFT energy (no corrections) is -156.4 eV for the cell shown. The value obtained for the density is 10.9 g/cm³. As for the formation energy: -0.700 eV per atom.

Record 7
Below is Th4Ir after structural relaxation, with properties calculated at the PBE level.

The structure belongs to space group Fd-3m (No. 227, origin choice 2); the cell edges are 11.146, 11.146 and 11.146 Å and the angles 90.00°, 90.00° and 90.00°. Symmetry generates all atoms from Th at (0.014, 0.014, 0.236) and Ir at (0.125, 0.125, 0.625).

The total DFT energy (no corrections) is -301.5 eV for the cell shown. For the size of the total moment, the calculation gives 0.0 μB/f.u. The value obtained for the density is 10.7 g/cm³. As for the formation energy: 0.162 eV per atom.

Record 8
Below is ThIr after structural relaxation, with properties calculated at the PBE level.

The structure belongs to space group Cmcm (No. 63); the cell edges are 3.929, 11.465 and 4.209 Å and the angles 90.00°, 90.00° and 90.00°. Symmetry generates all atoms from Th at (0.000, 0.137, 0.250) and Ir at (0.000, 0.402, 0.250).

The total DFT energy (no corrections) is -73.2 eV for the cell shown. The value obtained for the density is 14.9 g/cm³. As for the formation energy: -1.026 eV per atom.